# 1
# SrV6O11

A relaxed structure of SrV6O11 (PBE+U, the Materials Project).

abc: 5.833 5.833 13.162
angles: 90.00 90.00 120.00
Positions (direct):
Sr1 0.333 0.667 0.000
Sr2 0.667 0.333 0.500
V1 0.000 0.000 0.105
V2 0.000 0.000 0.399
V3 0.000 0.000 0.605
V4 0.000 0.000 0.899
V5 0.007 0.503 0.253
V6 0.333 0.667 0.505
V7 0.497 0.503 0.253
V8 0.497 0.993 0.253
V9 0.503 0.007 0.753
V10 0.503 0.497 0.753
V11 0.667 0.333 0.005
V12 0.993 0.497 0.753
O1 0.152 0.303 0.503
O2 0.152 0.848 0.503
O3 0.171 0.342 0.171
O4 0.171 0.829 0.171
O5 0.172 0.344 0.834
O6 0.172 0.828 0.834
O7 0.303 0.152 0.003
O8 0.333 0.667 0.343
O9 0.333 0.667 0.668
O10 0.342 0.171 0.671
O11 0.344 0.172 0.334
O12 0.656 0.828 0.834
O13 0.658 0.829 0.171
O14 0.667 0.333 0.168
O15 0.667 0.333 0.843
O16 0.697 0.848 0.503
O17 0.828 0.172 0.334
O18 0.828 0.656 0.334
O19 0.829 0.171 0.671
O20 0.829 0.658 0.671
O21 0.848 0.152 0.003
O22 0.848 0.697 0.003

Results
Crystal system   hexagonal
Total energy   -279.02 eV for the cell shown
Space-group type   P6_3mc
Total magnetization   20.0 μB/cell
Calculated volume   10.773 Å³/atom

---

# 2
# CaMnO2

A relaxed structure of CaMnO2 (PBE+U, the Materials Project).

abc: 3.309 5.715 5.715
angles: 109.36 90.00 90.00
Positions (direct):
Ca1 0.000 0.250 0.750
Ca2 0.000 0.750 0.250
Mn1 0.500 0.750 0.750
Mn2 0.500 0.250 0.250
O1 0.000 0.000 0.000
O2 0.000 0.500 0.500
O3 0.500 0.500 0.000
O4 0.500 0.000 0.500

Results
Total energy   -56.88 eV for the cell shown
Total magnetization   0.0 μB/cell
Calculated volume   12.745 Å³/atom

---

# 3
# KVO3

A relaxed structure of KVO3 (PBE+U, the Materials Project).

abc: 3.853 3.853 3.853
angles: 90.00 90.00 90.00
Positions (direct):
K1 0.000 0.000 0.000
V1 0.500 0.500 0.500
O1 0.000 0.500 0.500
O2 0.500 0.000 0.500
O3 0.500 0.500 0.000

Results
Crystal system   cubic
Total energy   -32.25 eV for the cell shown
Space-group type   Pm-3m
Total magnetization   0.0 μB/cell
Calculated volume   11.441 Å³/atom

---

# 4
# Sr2AlTlCo2O7

A relaxed structure of Sr2AlTlCo2O7 (PBE+U, the Materials Project).

abc: 3.895 3.929 11.612
angles: 85.74 85.45 86.92
Positions (direct):
Sr1 0.000 0.000 0.000
Sr2 0.130 0.123 0.564
Al1 0.062 0.053 0.282
Tl1 0.579 0.630 0.782
Co1 0.477 0.474 0.152
Co2 0.646 0.633 0.413
O1 0.048 0.976 0.781
O2 0.156 0.687 0.388
O3 0.429 0.962 0.175
O4 0.517 0.496 0.969
O5 0.588 0.560 0.596
O6 0.693 0.143 0.389
O7 0.969 0.423 0.178

Results
Crystal system   triclinic
Total energy   -77.01 eV for the cell shown
Space-group type   P1
Total magnetization   5.6 μB/cell
Calculated volume   13.573 Å³/atom